PBE Co21Re2B6, relaxed; symmetry = Fm-3m; E_tot = -219.79 eV per cell; energy of formation = -0.19 eV/atom
1.0
0.0000 5.2219 5.2219
5.2219 0.0000 5.2219
5.2219 5.2219 0.0000
Co Re B
21 2 6
Cartesian
0.0000 0.0000 0.0000
1.7694 1.7694 0.0000
3.4525 3.4525 0.0000
1.7694 0.0000 1.7694
5.2219 3.4525 1.7694
3.4525 0.0000 3.4525
5.2219 1.7694 3.4525
6.4612 3.9827 3.9827
0.0000 1.7694 1.7694
3.4525 5.2219 1.7694
3.4525 1.7694 5.2219
3.9827 3.9827 3.9827
6.4612 6.4612 3.9827
6.4612 3.9827 6.4612
3.9827 6.4612 3.9827
3.9827 3.9827 6.4612
6.4612 6.4612 6.4612
0.0000 3.4525 3.4525
1.7694 5.2219 3.4525
1.7694 3.4525 5.2219
3.9827 6.4612 6.4612
2.6110 2.6110 2.6110
7.8329 7.8329 7.8329
5.2219 5.2219 2.8773
5.2219 2.8773 5.2219
7.5665 5.2219 5.2219
2.8773 5.2219 5.2219
5.2219 7.5665 5.2219
5.2219 5.2219 7.5665


PBE V, relaxed; symmetry = Fm-3m; E_tot = -35.35 eV per cell; energy of formation = 0.25 eV/atom
1.0
3.8191 0.0000 0.0000
0.0000 3.8191 0.0000
0.0000 0.0000 3.8191
V
4
Cartesian
0.0000 0.0000 0.0000
0.0000 1.9095 1.9095
1.9095 0.0000 1.9095
1.9095 1.9095 0.0000


PBE La5AsPb3, relaxed; symmetry = P6_3/mcm; E_tot = -96.08 eV per cell; energy of formation = -0.84 eV/atom
1.0
9.7144 0.0000 0.0000
-4.8572 8.4129 0.0000
0.0000 0.0000 7.3765
La As Pb
10 2 6
Cartesian
-1.1731 2.0319 1.8441
-3.6841 6.3810 5.5323
2.3462 0.0000 1.8441
1.1731 2.0319 5.5323
0.0000 5.6086 0.0000
0.0000 5.6086 3.6882
4.8572 2.8043 0.0000
4.8572 2.8043 3.6882
7.3682 0.0000 5.5323
3.6841 6.3810 1.8441
0.0000 0.0000 0.0000
0.0000 0.0000 3.6882
-1.9481 3.3742 5.5323
-2.9091 5.0388 1.8441
3.8961 0.0000 5.5323
1.9481 3.3742 1.8441
5.8183 0.0000 1.8441
2.9091 5.0388 5.5323


PBE SiO2, relaxed; symmetry = P4_2/mmc; E (MP2020) = -8.35 eV/atom; E_tot = -1515.61 eV per cell; energy of formation = -3.24 eV/atom
1.0
13.0461 0.0000 0.0000
0.0000 13.0461 0.0000
0.0000 0.0000 25.7134
Si O
64 128
Cartesian
0.0000 4.9363 1.5857
0.0000 4.9363 24.1278
0.0000 8.1099 1.5857
0.0000 8.1099 24.1278
1.5394 1.6011 7.9713
1.5394 1.6011 17.7421
1.5394 11.4451 7.9713
1.5394 11.4451 17.7421
1.5848 1.5930 12.8567
1.5848 11.4531 12.8567
1.5930 1.5848 0.0000
1.5930 11.4614 0.0000
1.6011 1.5394 4.8854
1.6011 1.5394 20.8280
1.6011 11.5067 4.8854
1.6011 11.5067 20.8280
2.5168 3.2763 2.4779
2.5168 3.2763 23.2355
2.5168 9.7699 2.4779
2.5168 9.7699 23.2355
3.2763 2.5168 10.3788
3.2763 2.5168 15.3346
3.2763 10.5294 10.3788
3.2763 10.5294 15.3346
4.9363 0.0000 11.2710
4.9363 0.0000 14.4424
4.9766 4.9875 1.5904
4.9766 4.9875 24.1230
4.9766 8.0586 1.5904
4.9766 8.0586 24.1230
4.9875 4.9766 11.2663
4.9875 4.9766 14.4471
4.9875 8.0695 11.2663
4.9875 8.0695 14.4471
8.0586 4.9766 11.2663
8.0586 4.9766 14.4471
8.0586 8.0695 11.2663
8.0586 8.0695 14.4471
8.0695 4.9875 1.5904
8.0695 4.9875 24.1230
8.0695 8.0586 1.5904
8.0695 8.0586 24.1230
8.1099 0.0000 11.2710
8.1099 0.0000 14.4424
9.7699 2.5168 10.3788
9.7699 2.5168 15.3346
9.7699 10.5294 10.3788
9.7699 10.5294 15.3346
10.5294 3.2763 2.4779
10.5294 3.2763 23.2355
10.5294 9.7699 2.4779
10.5294 9.7699 23.2355
11.4451 1.5394 4.8854
11.4451 1.5394 20.8280
11.4451 11.5067 4.8854
11.4451 11.5067 20.8280
11.4531 1.5848 0.0000
11.4531 11.4614 0.0000
11.4614 1.5930 12.8567
11.4614 11.4531 12.8567
11.5067 1.6011 7.9713
11.5067 1.6011 17.7421
11.5067 11.4451 7.9713
11.5067 11.4451 17.7421
0.0000 1.6752 4.5972
0.0000 1.6752 21.1162
0.0000 1.7674 12.8567
0.0000 1.9205 0.0000
0.0000 2.0660 8.2650
0.0000 2.0660 17.4485
0.0000 4.5741 0.0000
0.0000 6.5231 1.7394
0.0000 6.5231 23.9741
0.0000 8.4721 0.0000
0.0000 10.9801 8.2650
0.0000 10.9801 17.4485
0.0000 11.1256 0.0000
0.0000 11.2788 12.8567
0.0000 11.3709 4.5972
0.0000 11.3709 21.1162
1.3386 4.3809 2.3161
1.3386 4.3809 23.3974
1.3386 8.6652 2.3161
1.3386 8.6652 23.3974
1.6752 0.0000 8.2595
1.6752 0.0000 17.4539
1.7674 0.0000 0.0000
1.9205 0.0000 12.8567
1.9385 1.9385 6.4284
1.9385 1.9385 19.2851
1.9385 11.1076 6.4284
1.9385 11.1076 19.2851
2.0660 0.0000 4.5917
2.0660 0.0000 21.1217
2.1544 2.3383 11.5355
2.1544 2.3383 14.1780
2.1544 10.7079 11.5355
2.1544 10.7079 14.1780
2.3383 2.1544 1.3213
2.3383 2.1544 24.3922
2.3383 10.8917 1.3213
2.3383 10.8917 24.3922
2.4201 2.5563 3.9307
2.4201 2.5563 21.7827
2.4201 10.4898 3.9307
2.4201 10.4898 21.7827
2.5563 2.4201 8.9260
2.5563 2.4201 16.7874
2.5563 10.6261 8.9260
2.5563 10.6261 16.7874
3.9772 3.9851 2.3826
3.9851 3.9772 10.4741
3.9851 3.9772 15.2393
3.9772 3.9851 23.3308
3.9772 9.0610 2.3826
3.9851 9.0689 10.4741
3.9851 9.0689 15.2393
3.9772 9.0610 23.3308
4.3809 1.3386 10.5407
4.3809 1.3386 15.1728
4.3809 11.7075 10.5407
4.3809 11.7075 15.1728
4.5186 6.5231 11.0151
4.5186 6.5231 14.6983
4.5741 0.0000 12.8567
4.6191 4.9231 0.0000
4.6191 8.1230 0.0000
4.7663 6.5231 2.1166
4.7663 6.5231 23.5968
4.9231 4.6191 12.8567
4.9231 8.4270 12.8567
6.5231 0.0000 11.1174
6.5231 0.0000 14.5961
6.5231 4.5186 1.8416
6.5231 4.5186 23.8718
6.5231 4.7663 10.7401
6.5231 4.7663 14.9733
6.5231 8.2798 10.7401
6.5231 8.2798 14.9733
6.5231 8.5276 1.8416
6.5231 8.5276 23.8718
8.1230 4.6191 12.8567
8.1230 8.4270 12.8567
8.2798 6.5231 2.1166
8.2798 6.5231 23.5968
8.4270 4.9231 0.0000
8.4270 8.1230 0.0000
8.4721 0.0000 12.8567
8.5276 6.5231 11.0151
8.5276 6.5231 14.6983
8.6652 1.3386 10.5407
8.6652 1.3386 15.1728
8.6652 11.7075 10.5407
8.6652 11.7075 15.1728
9.0689 3.9851 2.3826
9.0610 3.9772 10.4741
9.0610 3.9772 15.2393
9.0689 3.9851 23.3308
9.0689 9.0610 2.3826
9.0610 9.0689 10.4741
9.0610 9.0689 15.2393
9.0689 9.0610 23.3308
10.4898 2.4201 8.9260
10.4898 2.4201 16.7874
10.4898 10.6261 8.9260
10.4898 10.6261 16.7874
10.6261 2.5563 3.9307
10.6261 2.5563 21.7827
10.6261 10.4898 3.9307
10.6261 10.4898 21.7827
10.7079 2.1544 1.3213
10.7079 2.1544 24.3922
10.7079 10.8917 1.3213
10.7079 10.8917 24.3922
10.8917 2.3383 11.5355
10.8917 2.3383 14.1780
10.8917 10.7079 11.5355
10.8917 10.7079 14.1780
10.9801 0.0000 4.5917
10.9801 0.0000 21.1217
11.1076 1.9385 6.4284
11.1076 1.9385 19.2851
11.1076 11.1076 6.4284
11.1076 11.1076 19.2851
11.1256 0.0000 12.8567
11.2788 0.0000 0.0000
11.3709 0.0000 8.2595
11.3709 0.0000 17.4539
11.7075 4.3809 2.3161
11.7075 4.3809 23.3974
11.7075 8.6652 2.3161
11.7075 8.6652 23.3974


PBE TlGeO3, relaxed; symmetry = Pm-3m; E (MP2020) = -5.73 eV/atom; E_tot = -26.61 eV per cell; energy of formation = -1.37 eV/atom
1.0
3.8627 0.0000 0.0000
0.0000 3.8627 0.0000
0.0000 0.0000 3.8627
Tl Ge O
1 1 3
Cartesian
0.0000 0.0000 0.0000
1.9314 1.9314 1.9314
0.0000 1.9314 1.9314
1.9314 0.0000 1.9314
1.9314 1.9314 0.0000


PBE Na4Y3NbP6O24, relaxed; symmetry = P1; E (MP2020) = -7.94 eV/atom; E_tot = -856.24 eV per cell; energy of formation = -3.05 eV/atom
1.0
9.1719 0.0000 0.0000
-4.5825 7.9472 0.0000
-0.0081 -0.0278 23.4974
Na Y Nb P O
12 9 3 18 72
Cartesian
0.0000 0.0000 0.0000
9.1640 -0.0118 11.5681
-1.6555 2.9255 5.8261
-1.2817 2.6202 21.4663
-1.6570 7.6967 21.4863
-0.0568 5.1879 19.3958
-0.0583 5.3952 7.8257
1.1901 7.9074 17.4547
2.8965 5.0271 5.8242
4.5427 2.5649 3.7748
4.5344 2.7173 15.4995
2.9227 5.5002 21.4802
0.0295 -0.0089 8.2755
0.0278 -0.0229 19.8231
-0.0344 5.2171 15.9632
-0.0060 5.2776 23.2020
-0.0307 5.3551 4.1911
4.5458 2.5654 7.4405
4.5907 2.6314 12.1044
4.5464 2.6974 18.9527
4.5941 2.6570 0.4134
-4.5667 7.9293 15.0497
0.0204 -0.0011 3.3895
0.0008 5.2737 11.2545
-1.3495 2.8404 1.9420
-2.6883 5.3442 13.6194
1.3390 2.2925 5.7454
2.6785 -0.0145 17.4647
1.2911 2.9235 13.6237
-1.4501 7.7085 1.8876
3.2616 0.2056 9.7980
1.8580 2.6449 21.4665
1.3906 7.5717 13.6667
2.8047 5.3521 1.9458
3.1476 4.9955 9.7437
5.9253 0.2607 21.4137
3.2576 5.6404 17.4551
6.5455 0.0076 5.7593
5.9578 4.9748 21.4621
7.3431 2.7048 9.7376
5.8980 5.6250 5.7641
7.8363 2.2709 17.4838
-0.8672 1.5211 9.6354
-0.8427 1.6771 18.8213
-0.6625 1.4253 2.1432
-3.5461 6.4366 7.0066
-3.5598 6.6767 13.8058
-1.0463 3.6995 3.1661
-1.8739 5.1561 14.8781
-0.7339 3.4228 0.6393
-1.6659 5.1216 21.5932
-1.7597 5.3627 5.6297
-0.7433 3.6670 17.3929
-0.9405 4.0134 10.0217
0.5753 1.5032 13.8150
-1.7126 5.5344 12.3943
-3.0102 7.8097 2.1341
0.7158 1.6626 6.9750
1.6477 0.0701 16.2680
0.9499 1.3882 4.4977
-2.8250 7.9185 9.6648
0.9395 1.3901 21.3549
-2.6632 7.7875 18.7994
-1.2886 6.9111 0.5644
0.6266 3.6691 12.3982
0.6916 3.6987 5.5914
-0.9669 6.7173 17.3738
-0.8254 6.9787 3.0622
1.0531 3.7288 14.8802
0.9484 3.9077 21.5973
-0.6340 6.7269 10.0481
2.7382 2.4138 22.6883
3.5440 1.0841 10.9883
3.5500 1.2628 17.4552
2.8733 2.4601 5.7878
2.7799 2.6863 13.4400
3.8995 0.7569 8.4970
3.7079 1.1667 1.8105
2.7278 2.8665 20.2132
1.5699 5.1175 10.0314
0.6971 6.7942 21.5759
1.0557 6.6125 12.4556
0.8418 6.9878 14.9626
1.9065 5.1815 3.1686
1.7259 5.5799 17.3488
1.0966 6.6917 5.6044
1.9964 5.6065 0.6419
3.2931 4.2015 8.4078
5.3313 0.8773 20.1215
5.4367 1.0335 13.4654
3.7286 4.1477 1.8320
3.7706 4.2721 10.9114
5.6611 1.1638 22.6167
3.9309 4.2671 17.4467
5.7396 1.3277 5.7929
3.4988 6.3897 18.7878
2.8149 7.7469 6.9956
3.6944 6.4192 9.6387
2.9851 7.6714 13.8261
3.6882 6.6524 2.1539
7.4742 0.0844 21.3381
6.2860 2.2571 17.4677
7.5316 0.1351 4.5138
5.1596 4.2512 5.7784
3.8601 6.4868 16.2609
5.3128 4.3326 22.6851
6.3168 2.6348 1.8316
6.4100 2.5193 10.9083
5.5248 4.1780 13.4432
5.7096 4.1139 20.2086
6.5781 2.9658 8.4024
5.3196 6.4334 4.5169
5.3337 6.3991 21.3507
8.2747 1.3270 16.2854


PBE TlCuSe2, relaxed; symmetry = I-42d; E (MP2020) = -3.83 eV/atom; E_tot = -57.57 eV per cell; energy of formation = -0.47 eV/atom
1.0
5.9546 0.0000 0.0000
0.0000 5.9546 0.0000
0.0000 0.0000 12.0064
Tl Cu Se
4 4 8
Cartesian
0.0000 0.0000 0.0000
0.0000 2.9773 3.0016
2.9773 0.0000 9.0048
2.9773 2.9773 6.0032
0.0000 0.0000 6.0032
0.0000 2.9773 9.0048
2.9773 0.0000 3.0016
2.9773 2.9773 0.0000
1.2038 1.4887 7.5040
1.4887 4.1811 10.5056
1.4887 4.7509 4.5024
1.7736 1.4887 1.5008
4.1811 4.4660 1.5008
4.4660 1.2038 4.5024
4.4660 1.7736 10.5056
4.7509 4.4660 7.5040


PBE Ag2TeO6, relaxed; symmetry = P1; E (MP2020) = -4.82 eV/atom; E_tot = -78.49 eV per cell; energy of formation = -0.54 eV/atom
1.0
6.0390 0.0000 0.0000
2.9750 5.3536 0.0000
2.9669 -0.0026 8.4938
Ag Te O
4 2 12
Cartesian
0.0000 0.0000 0.0000
4.4541 2.6802 6.8988
4.8012 2.7558 4.2389
6.3376 0.0665 2.6486
6.1792 4.7314 1.3535
7.6831 2.0163 5.5380
2.8513 0.7907 6.4390
2.8525 2.2105 4.0052
2.0934 0.8310 2.1290
7.9288 4.8922 8.3144
4.9860 3.4404 2.1685
6.4420 2.2692 7.0453
6.5854 3.5009 4.8063
4.2583 0.8123 0.5094
7.3681 4.8576 2.8975
6.5015 0.7385 4.7040
8.7404 3.4838 6.3335
7.4044 3.4861 0.4688